Record 1
Sm2Bi | meta-GGA r2SCAN | relaxed

## Properties
Magnetic moment, μB/f.u.: 0.961
VASP energy, eV per atom: -40.118
Calculated formation energy, eV per atom: -0.795

a = 4.573 Å, b = 4.573 Å, c = 17.838 Å
α = 90.00°, β = 90.00°, γ = 90.00°
Sites, in units of the cell vectors:
Sm (0.000, 0.000, 0.179)
Sm (0.000, 0.000, 0.821)
Sm (0.000, 0.500, 0.000)
Sm (0.000, 0.500, 0.500)
Sm (0.500, 0.000, 0.000)
Sm (0.500, 0.000, 0.500)
Sm (0.500, 0.500, 0.321)
Sm (0.500, 0.500, 0.679)
Bi (0.000, 0.000, 0.361)
Bi (0.000, 0.000, 0.639)
Bi (0.500, 0.500, 0.139)
Bi (0.500, 0.500, 0.861)

=====

Record 2
Sm4Bi3 | meta-GGA r2SCAN | relaxed

## Properties
Magnetic moment, μB/f.u.: 0.000
VASP energy, eV per atom: -43.028
Calculated formation energy, eV per atom: -0.966

a = 8.272 Å, b = 8.272 Å, c = 8.272 Å
α = 109.47°, β = 109.47°, γ = 109.47°
Sites, in units of the cell vectors:
Sm (0.000, 0.143, 0.500)
Sm (0.000, 0.643, 0.500)
Sm (0.143, 0.500, 0.000)
Sm (0.357, 0.357, 0.357)
Sm (0.500, 0.000, 0.143)
Sm (0.500, 0.000, 0.643)
Sm (0.643, 0.500, 0.000)
Sm (0.857, 0.857, 0.857)
Bi (0.125, 0.875, 0.250)
Bi (0.250, 0.125, 0.875)
Bi (0.375, 0.625, 0.750)
Bi (0.625, 0.750, 0.375)
Bi (0.750, 0.375, 0.625)
Bi (0.875, 0.250, 0.125)

=====

Record 3
Sr11Bi10 | meta-GGA r2SCAN | relaxed

## Properties
Magnetic moment, μB/f.u.: 0.868
VASP energy, eV per atom: -36.801
Calculated formation energy, eV per atom: -1.010

a = 12.930 Å, b = 12.930 Å, c = 13.009 Å
α = 119.77°, β = 119.77°, γ = 90.02°
Sites, in units of the cell vectors:
Sr (0.057, 0.396, 0.793)
Sr (0.061, 0.810, 0.620)
Sr (0.166, 0.166, 0.000)
Sr (0.166, 0.834, 0.000)
Sr (0.190, 0.441, 0.380)
Sr (0.190, 0.939, 0.380)
Sr (0.264, 0.604, 0.207)
Sr (0.339, 0.339, 0.677)
Sr (0.396, 0.057, 0.793)
Sr (0.396, 0.736, 0.793)
Sr (0.441, 0.190, 0.380)
Sr (0.559, 0.810, 0.620)
Sr (0.604, 0.264, 0.207)
Sr (0.604, 0.943, 0.207)
Sr (0.661, 0.661, 0.323)
Sr (0.736, 0.396, 0.793)
Sr (0.810, 0.061, 0.620)
Sr (0.810, 0.559, 0.620)
Sr (0.834, 0.166, 0.000)
Sr (0.834, 0.834, 0.000)
Sr (0.939, 0.190, 0.380)
Sr (0.943, 0.604, 0.207)
Bi (0.000, 0.349, 0.000)
Bi (0.000, 0.651, 0.000)
Bi (0.118, 0.532, 0.650)
Bi (0.119, 0.119, 0.651)
Bi (0.126, 0.126, 0.252)
Bi (0.250, 0.750, 0.500)
Bi (0.349, 0.000, 0.000)
Bi (0.376, 0.376, 0.999)
Bi (0.377, 0.623, 0.000)
Bi (0.468, 0.468, 0.350)
Bi (0.468, 0.882, 0.350)
Bi (0.532, 0.118, 0.650)
Bi (0.532, 0.532, 0.650)
Bi (0.623, 0.377, 0.000)
Bi (0.624, 0.624, 0.001)
Bi (0.651, 0.000, 0.000)
Bi (0.750, 0.250, 0.500)
Bi (0.874, 0.874, 0.748)
Bi (0.881, 0.881, 0.349)
Bi (0.882, 0.468, 0.350)

=====

Record 4
Sr2Bi3 | meta-GGA r2SCAN | relaxed

## Properties
Magnetic moment, μB/f.u.: 0.000
VASP energy, eV per atom: -41.972
Calculated formation energy, eV per atom: -0.812

a = 15.680 Å, b = 6.869 Å, c = 6.661 Å
α = 90.00°, β = 90.00°, γ = 90.00°
Sites, in units of the cell vectors:
Sr (0.000, 0.250, 0.250)
Sr (0.000, 0.750, 0.750)
Sr (0.250, 0.000, 0.059)
Sr (0.250, 0.500, 0.441)
Sr (0.500, 0.250, 0.750)
Sr (0.500, 0.750, 0.250)
Sr (0.750, 0.000, 0.941)
Sr (0.750, 0.500, 0.559)
Bi (0.072, 0.750, 0.250)
Bi (0.155, 0.063, 0.578)
Bi (0.155, 0.437, 0.922)
Bi (0.345, 0.563, 0.922)
Bi (0.345, 0.937, 0.578)
Bi (0.428, 0.250, 0.250)
Bi (0.572, 0.750, 0.750)
Bi (0.655, 0.063, 0.422)
Bi (0.655, 0.437, 0.078)
Bi (0.845, 0.563, 0.078)
Bi (0.845, 0.937, 0.422)
Bi (0.928, 0.250, 0.750)

=====

Record 5
TbBi | meta-GGA r2SCAN | relaxed

## Properties
Magnetic moment, μB/f.u.: 0.000
VASP energy, eV per atom: -45.966
Calculated formation energy, eV per atom: -1.102

a = 6.335 Å, b = 6.335 Å, c = 6.335 Å
α = 90.00°, β = 90.00°, γ = 90.00°
Sites, in units of the cell vectors:
Tb (0.000, 0.000, 0.000)
Tb (0.000, 0.500, 0.500)
Tb (0.500, 0.000, 0.500)
Tb (0.500, 0.500, 0.000)
Bi (0.000, 0.000, 0.500)
Bi (0.000, 0.500, 0.000)
Bi (0.500, 0.000, 0.000)
Bi (0.500, 0.500, 0.500)

=====

Record 6
Bi2Te3 | meta-GGA r2SCAN | relaxed

## Properties
Magnetic moment, μB/f.u.: 0.000
VASP energy, eV per atom: -38.926
Calculated formation energy, eV per atom: -0.274

a = 4.418 Å, b = 4.418 Å, c = 32.257 Å
α = 90.00°, β = 90.00°, γ = 120.00°
Sites, in units of the cell vectors:
Bi (0.000, 0.000, 0.103)
Bi (0.000, 0.000, 0.897)
Bi (0.333, 0.667, 0.563)
Bi (0.333, 0.667, 0.770)
Bi (0.667, 0.333, 0.230)
Bi (0.667, 0.333, 0.437)
Te (0.000, 0.000, 0.283)
Te (0.000, 0.000, 0.500)
Te (0.000, 0.000, 0.717)
Te (0.333, 0.667, 0.167)
Te (0.333, 0.667, 0.383)
Te (0.333, 0.667, 0.950)
Te (0.667, 0.333, 0.050)
Te (0.667, 0.333, 0.617)
Te (0.667, 0.333, 0.833)

=====

Record 7
Th2BiTe | meta-GGA r2SCAN | relaxed

## Properties
Magnetic moment, μB/f.u.: 0.000
VASP energy, eV per atom: -58.674
Calculated formation energy, eV per atom: -0.957

a = 7.805 Å, b = 7.805 Å, c = 7.805 Å
α = 90.00°, β = 90.00°, γ = 90.00°
Sites, in units of the cell vectors:
Th (0.250, 0.250, 0.250)
Th (0.250, 0.250, 0.750)
Th (0.250, 0.750, 0.250)
Th (0.250, 0.750, 0.750)
Th (0.750, 0.250, 0.250)
Th (0.750, 0.250, 0.750)
Th (0.750, 0.750, 0.250)
Th (0.750, 0.750, 0.750)
Bi (0.000, 0.000, 0.000)
Bi (0.000, 0.500, 0.500)
Bi (0.500, 0.000, 0.500)
Bi (0.500, 0.500, 0.000)
Te (0.000, 0.000, 0.500)
Te (0.000, 0.500, 0.000)
Te (0.500, 0.000, 0.000)
Te (0.500, 0.500, 0.500)

=====

Record 8
ThBiTe | meta-GGA r2SCAN | relaxed

## Properties
Magnetic moment, μB/f.u.: 0.000
VASP energy, eV per atom: -53.532
Calculated formation energy, eV per atom: -1.067

a = 4.541 Å, b = 4.541 Å, c = 9.203 Å
α = 90.00°, β = 90.00°, γ = 90.00°
Sites, in units of the cell vectors:
Th (0.250, 0.250, 0.228)
Th (0.750, 0.750, 0.772)
Bi (0.250, 0.750, 0.500)
Bi (0.750, 0.250, 0.500)
Te (0.250, 0.250, 0.869)
Te (0.750, 0.750, 0.131)

=====

Record 9
YbBi2Te4 | meta-GGA r2SCAN | relaxed

## Properties
Magnetic moment, μB/f.u.: 0.000
VASP energy, eV per atom: -36.978
Calculated formation energy, eV per atom: -0.520

a = 8.449 Å, b = 8.449 Å, c = 8.449 Å
α = 108.72°, β = 108.72°, γ = 110.98°
Sites, in units of the cell vectors:
Yb (0.000, 0.000, 0.000)
Yb (0.750, 0.250, 0.500)
Bi (0.348, 0.625, 0.223)
Bi (0.375, 0.598, 0.723)
Bi (0.402, 0.125, 0.777)
Bi (0.875, 0.652, 0.277)
Te (0.039, 0.359, 0.291)
Te (0.068, 0.748, 0.709)
Te (0.109, 0.289, 0.791)
Te (0.252, 0.961, 0.320)
Te (0.498, 0.318, 0.209)
Te (0.641, 0.932, 0.680)
Te (0.682, 0.891, 0.180)
Te (0.711, 0.502, 0.820)

=====

Record 10
ThBi2 | meta-GGA r2SCAN | relaxed

## Properties
Magnetic moment, μB/f.u.: 0.000
VASP energy, eV per atom: -64.154
Calculated formation energy, eV per atom: -0.660

a = 4.548 Å, b = 4.548 Å, c = 9.377 Å
α = 90.00°, β = 90.00°, γ = 90.00°
Sites, in units of the cell vectors:
Th (0.250, 0.250, 0.221)
Th (0.750, 0.750, 0.779)
Bi (0.250, 0.250, 0.863)
Bi (0.250, 0.750, 0.500)
Bi (0.750, 0.250, 0.500)
Bi (0.750, 0.750, 0.137)

=====

Record 11
Tm5Bi3 | meta-GGA r2SCAN | relaxed

## Properties
Magnetic moment, μB/f.u.: 0.069
VASP energy, eV per atom: -44.634
Calculated formation energy, eV per atom: -0.745

a = 8.127 Å, b = 9.346 Å, c = 11.848 Å
α = 90.00°, β = 90.00°, γ = 90.00°
Sites, in units of the cell vectors:
Tm (0.024, 0.250, 0.011)
Tm (0.144, 0.750, 0.284)
Tm (0.186, 0.250, 0.283)
Tm (0.193, 0.066, 0.560)
Tm (0.193, 0.434, 0.560)
Tm (0.307, 0.566, 0.060)
Tm (0.307, 0.934, 0.060)
Tm (0.314, 0.750, 0.783)
Tm (0.356, 0.250, 0.784)
Tm (0.476, 0.750, 0.511)
Tm (0.524, 0.250, 0.489)
Tm (0.644, 0.750, 0.216)
Tm (0.686, 0.250, 0.217)
Tm (0.693, 0.066, 0.940)
Tm (0.693, 0.434, 0.940)
Tm (0.807, 0.566, 0.440)
Tm (0.807, 0.934, 0.440)
Tm (0.814, 0.750, 0.717)
Tm (0.856, 0.250, 0.716)
Tm (0.976, 0.750, 0.989)
Bi (0.066, 0.004, 0.826)
Bi (0.066, 0.496, 0.826)
Bi (0.094, 0.750, 0.542)
Bi (0.406, 0.250, 0.042)
Bi (0.434, 0.504, 0.326)
Bi (0.434, 0.996, 0.326)
Bi (0.566, 0.004, 0.674)
Bi (0.566, 0.496, 0.674)
Bi (0.594, 0.750, 0.958)
Bi (0.906, 0.250, 0.458)
Bi (0.934, 0.504, 0.174)
Bi (0.934, 0.996, 0.174)

=====

Record 12
ZrBi2 | meta-GGA r2SCAN | relaxed

## Properties
Magnetic moment, μB/f.u.: 0.000
VASP energy, eV per atom: -46.927
Calculated formation energy, eV per atom: -0.342

a = 10.354 Å, b = 15.615 Å, c = 4.054 Å
α = 90.00°, β = 90.00°, γ = 90.00°
Sites, in units of the cell vectors:
Zr (0.022, 0.249, 0.000)
Zr (0.164, 0.506, 0.000)
Zr (0.336, 0.006, 0.500)
Zr (0.478, 0.749, 0.500)
Zr (0.522, 0.251, 0.500)
Zr (0.664, 0.994, 0.500)
Zr (0.836, 0.494, 0.000)
Zr (0.978, 0.751, 0.000)
Bi (0.013, 0.394, 0.500)
Bi (0.122, 0.057, 0.000)
Bi (0.155, 0.848, 0.500)
Bi (0.233, 0.200, 0.500)
Bi (0.267, 0.700, 0.000)
Bi (0.345, 0.348, 0.000)
Bi (0.378, 0.557, 0.500)
Bi (0.487, 0.894, 0.000)
Bi (0.513, 0.106, 0.000)
Bi (0.622, 0.443, 0.500)
Bi (0.655, 0.652, 0.000)
Bi (0.733, 0.300, 0.000)
Bi (0.767, 0.800, 0.500)
Bi (0.845, 0.152, 0.500)
Bi (0.878, 0.943, 0.000)
Bi (0.987, 0.606, 0.500)